Entry 1:
Computed, not measured: a relaxed GdCo4B4 crystal at the PBE-GGA level of DFT.

Crystal system: tetragonal

a = 5.0162 Å, b = 5.0162 Å, c = 6.9986 Å
α = 90.00°, β = 90.00°, γ = 90.00°
Space group P4_2/nmc (No. 137, origin choice 2)
Unique sites:
Gd 0.2500 0.7500 0.2500 [2 per cell]
Co 0.0043 0.7500 0.6129 [8 per cell]
B 0.0755 0.2500 0.0919 [8 per cell]

***

Entry 2:
Computed, not measured: a relaxed Li3Ti2Ge3O12 crystal at the PBE-GGA level of DFT.

Crystal system: cubic

a = 12.1801 Å, b = 12.1801 Å, c = 12.1801 Å
α = 90.00°, β = 90.00°, γ = 90.00°
Space group Ia-3d (No. 230)
Unique sites:
Li 0.0000 0.2500 0.1250 [24 per cell]
Ti 0.0000 0.0000 0.0000 [16 per cell]
Ge 0.0000 0.2500 0.3750 [24 per cell]
O 0.0323 0.0498 0.6498 [96 per cell]

***

Entry 3:
Computed, not measured: a relaxed Zr6CoSb2 crystal at the PBE-GGA level of DFT.

Crystal system: hexagonal

a = 7.8394 Å, b = 7.8394 Å, c = 3.6213 Å
α = 90.00°, β = 90.00°, γ = 120.00°
Space group P-62m (No. 189)
Unique sites:
Zr 0.0000 0.2398 0.0000 [3 per cell]
Zr 0.0000 0.5988 0.5000 [3 per cell]
Co 0.0000 0.0000 0.5000 [1 per cell]
Sb 0.3333 0.6667 0.0000 [2 per cell]

***

Entry 4:
Computed, not measured: a relaxed CsAuSe crystal at the PBE-GGA level of DFT.

Crystal system: orthorhombic

a = 7.3650 Å, b = 8.7971 Å, c = 7.2039 Å
α = 90.00°, β = 90.00°, γ = 90.00°
Space group Cmcm (No. 63)
Unique sites:
Cs 0.0000 0.1309 0.2500 [4 per cell]
Au 0.0000 0.5000 0.0000 [4 per cell]
Se 0.0000 0.3090 0.7500 [4 per cell]

***

Entry 5:
Computed, not measured: a relaxed MgO crystal at the PBE-GGA level of DFT.

Crystal system: hexagonal
Piezoelectric modulus e_max (C/m2): 1.4

a = 3.2859 Å, b = 3.2859 Å, c = 10.5031 Å
α = 90.00°, β = 90.00°, γ = 120.00°
Space group P6_3mc (No. 186)
Unique sites:
Mg 0.0000 0.0000 0.0000 [2 per cell]
Mg 0.3333 0.6667 0.2487 [2 per cell]
O 0.0000 0.0000 0.3084 [2 per cell]
O 0.3333 0.6667 0.0588 [2 per cell]

***

Entry 6:
Computed, not measured: a relaxed Zr6Ag7F31 crystal at the PBE-GGA level of DFT.

Crystal system: trigonal

a = 14.2100 Å, b = 14.2100 Å, c = 9.9819 Å
α = 90.00°, β = 90.00°, γ = 120.00°
Space group R-3 (No. 148, hexagonal axes)
Unique sites:
Zr 0.0544 0.1875 0.3309 [18 per cell]
Ag 0.0000 0.0000 0.0000 [3 per cell]
Ag 0.0314 0.5856 0.6562 [18 per cell]
F 0.0000 0.0000 0.5000 [3 per cell]
F 0.0228 0.5750 0.9275 [18 per cell]
F 0.0361 0.1247 0.7152 [18 per cell]
F 0.0428 0.6120 0.4015 [18 per cell]
F 0.0474 0.8381 0.4977 [18 per cell]
F 0.0552 0.1788 0.1206 [18 per cell]

***

Entry 7:
Computed, not measured: a relaxed MgSn2 crystal at the PBE-GGA level of DFT.

Crystal system: hexagonal

a = 5.8445 Å, b = 5.8445 Å, c = 5.2737 Å
α = 90.00°, β = 90.00°, γ = 120.00°
Space group P-62m (No. 189)
Unique sites:
Mg 0.3333 0.6667 0.0000 [2 per cell]
Sn 0.0000 0.0000 0.0000 [1 per cell]
Sn 0.0000 0.6602 0.5000 [3 per cell]

***

Entry 8:
Computed, not measured: a relaxed ThNi2 crystal at the PBE-GGA level of DFT.

Crystal system: hexagonal

a = 4.1142 Å, b = 4.1142 Å, c = 3.7445 Å
α = 90.00°, β = 90.00°, γ = 120.00°
Space group P6/mmm (No. 191)
Unique sites:
Th 0.0000 0.0000 0.0000 [1 per cell]
Ni 0.3333 0.6667 0.5000 [2 per cell]

***

Entry 9:
Computed, not measured: a relaxed LuCd crystal at the PBE-GGA level of DFT.

Crystal system: cubic

a = 3.6753 Å, b = 3.6753 Å, c = 3.6753 Å
α = 90.00°, β = 90.00°, γ = 90.00°
Space group Pm-3m (No. 221)
Unique sites:
Lu 0.0000 0.0000 0.0000 [1 per cell]
Cd 0.5000 0.5000 0.5000 [1 per cell]

***

Entry 10:
Computed, not measured: a relaxed CaZnAsHO5 crystal at the PBE-GGA level of DFT.

Crystal system: orthorhombic
Piezoelectric modulus e_max (C/m2): 0.1

a = 6.0242 Å, b = 7.6038 Å, c = 9.1661 Å
α = 90.00°, β = 90.00°, γ = 90.00°
Space group P2_12_12_1 (No. 19)
Unique sites:
Ca 0.0235 0.1309 0.1726 [4 per cell]
Zn 0.2415 0.2652 0.5066 [4 per cell]
As 0.0174 0.6255 0.6752 [4 per cell]
H 0.0215 0.9941 0.4795 [4 per cell]
O 0.0084 0.1083 0.4272 [4 per cell]
O 0.0106 0.9495 0.9455 [4 per cell]
O 0.0912 0.7950 0.5601 [4 per cell]
O 0.2313 0.1521 0.7329 [4 per cell]
O 0.2452 0.6053 0.7891 [4 per cell]

***

Entry 11:
Computed, not measured: a relaxed MgTi2Zn4O8 crystal at the PBE-GGA level of DFT.

Energy above the lowest structure with this stoichiometry (kJ/mol of formula units): 46
Crystal system: orthorhombic

a = 5.7277 Å, b = 6.1296 Å, c = 10.0489 Å
α = 90.00°, β = 90.00°, γ = 90.00°
Space group Imm2 (No. 44)
Unique sites:
Mg 0.0000 0.0000 0.0000 [2 per cell]
Ti 0.2286 0.5000 0.7283 [4 per cell]
Zn 0.0000 0.0000 0.7405 [2 per cell]
Zn 0.0000 0.2672 0.4354 [4 per cell]
Zn 0.0000 0.5000 0.0680 [2 per cell]
O 0.0000 0.2065 0.1532 [4 per cell]
O 0.0000 0.2837 0.6509 [4 per cell]
O 0.2396 0.5000 0.3831 [4 per cell]
O 0.2413 0.0000 0.4137 [4 per cell]

***

Entry 12:
Computed, not measured: a relaxed CsGa5Hg4Se12 crystal at the PBE-GGA level of DFT.

Crystal system: triclinic

a = 9.1403 Å, b = 9.1551 Å, c = 9.2072 Å
α = 107.14°, β = 108.07°, γ = 107.41°
Space group P1 (No. 1)
Unique sites:
Cs 0.0000 0.0000 0.0000 [1 per cell]
Ga 0.0199 0.1899 0.5598 [1 per cell]
Ga 0.3319 0.9376 0.4849 [1 per cell]
Ga 0.4862 0.3376 0.9455 [1 per cell]
Ga 0.5639 0.0300 0.1921 [1 per cell]
Ga 0.9406 0.4910 0.3440 [1 per cell]
Hg 0.1928 0.5676 0.0241 [1 per cell]
Hg 0.4025 0.6388 0.7179 [1 per cell]
Hg 0.6330 0.7116 0.4006 [1 per cell]
Hg 0.7119 0.3985 0.6343 [1 per cell]
Se 0.0691 0.7014 0.2485 [1 per cell]
Se 0.1410 0.3707 0.4373 [1 per cell]
Se 0.2356 0.0863 0.6900 [1 per cell]
Se 0.3106 0.8150 0.9389 [1 per cell]
Se 0.3797 0.4196 0.1507 [1 per cell]
Se 0.4296 0.1371 0.3663 [1 per cell]
Se 0.5599 0.8827 0.6389 [1 per cell]
Se 0.6414 0.5560 0.8836 [1 per cell]
Se 0.6987 0.2378 0.0867 [1 per cell]
Se 0.7888 0.9431 0.2972 [1 per cell]
Se 0.8861 0.6421 0.5678 [1 per cell]
Se 0.9269 0.2753 0.7729 [1 per cell]

***

Asked for E_form across the records above, the calculation gives -11.1 -57.2 -14.1 -21.4 -68.3 -72.2 -0.4 -10.0 -7.0 -49.9 -51.5 -18.5 kcal/mol of atoms in order.